Entry 1:
First-principles (PBE-GGA) data for crystalline NbO2F at its relaxed geometry, as listed in the Materials Project.

Properties
Final energy   -8.156 eV/atom
Calculated density   3.76 g cm⁻³
E (MP2020)   -8.6154 eV per atom
ΔH_f (0 K)   -12.5 eV/f.u.

Lattice parameters (Å, degrees): 9.794 9.794 9.794 133.47 59.10 145.64
Positions (direct):
Nb1 0.067 0.317 0.750
Nb2 0.314 0.231 0.083
Nb3 0.352 0.769 0.583
Nb4 0.648 0.231 0.417
Nb5 0.686 0.769 0.917
Nb6 0.933 0.683 0.250
O1 0.000 0.000 0.000
O2 0.000 0.000 0.500
O3 0.000 0.500 0.000
O4 0.184 0.519 0.665
O5 0.331 0.000 0.831
O6 0.331 0.500 0.331
O7 0.354 0.519 0.835
O8 0.500 0.000 0.500
O9 0.646 0.481 0.165
O10 0.669 0.000 0.169
O11 0.669 0.500 0.669
O12 0.816 0.481 0.335
F1 0.000 0.500 0.500
F2 0.163 0.995 0.168
F3 0.327 0.995 0.332
F4 0.500 0.500 0.000
F5 0.673 0.005 0.668
F6 0.837 0.005 0.832



Entry 2:
First-principles (PBE-GGA) data for crystalline BNCl2 at its relaxed geometry, as listed in the Materials Project.

Properties
Final energy   -5.236 eV/atom
Calculated density   1.78 g cm⁻³
E (MP2020)   -5.5431 eV per atom
ΔH_f (0 K)   -3.5 eV/f.u.

Lattice parameters (Å, degrees): 6.452 6.452 6.452 89.77 89.77 89.77
Positions (direct):
B1 0.184 0.880 0.936
B2 0.880 0.936 0.184
B3 0.936 0.184 0.880
N1 0.062 0.824 0.116
N2 0.116 0.062 0.824
N3 0.824 0.116 0.062
Cl1 0.136 0.612 0.258
Cl2 0.258 0.136 0.612
Cl3 0.399 0.733 0.858
Cl4 0.612 0.258 0.136
Cl5 0.733 0.858 0.399
Cl6 0.858 0.399 0.733



Entry 3:
First-principles (PBE-GGA) data for crystalline MgAlNF6 at its relaxed geometry, as listed in the Materials Project.

Properties
Final energy   -5.184 eV/atom
Calculated density   2.19 g cm⁻³
E (MP2020)   -5.4921 eV per atom
ΔH_f (0 K)   -24.3 eV/f.u.

Lattice parameters (Å, degrees): 7.167 7.167 7.167 121.43 108.68 99.11
Positions (direct):
Mg1 0.000 0.000 0.000
Mg2 0.500 0.000 0.500
Al1 0.500 0.000 0.000
Al2 0.500 0.500 0.500
N1 0.040 0.290 0.750
N2 0.960 0.710 0.250
F1 0.108 0.858 0.250
F2 0.214 0.312 0.289
F3 0.214 0.925 0.902
F4 0.438 0.688 0.750
F5 0.477 0.075 0.789
F6 0.477 0.688 0.402
F7 0.523 0.312 0.598
F8 0.523 0.925 0.211
F9 0.562 0.312 0.250
F10 0.786 0.075 0.098
F11 0.786 0.688 0.711
F12 0.892 0.142 0.750



Entry 4:
First-principles (PBE-GGA) data for crystalline K3LuB2P2O14 at its relaxed geometry, as listed in the Materials Project.

Properties
Final energy   -6.488 eV/atom
Calculated density   2.88 g cm⁻³
E (MP2020)   -6.9254 eV per atom
ΔH_f (0 K)   -51.0 eV/f.u.

Lattice parameters (Å, degrees): 13.032 13.032 13.032 24.94 24.94 24.94
Positions (direct):
K1 0.000 0.000 0.000
K2 0.101 0.101 0.101
K3 0.899 0.899 0.899
Lu1 0.500 0.500 0.500
B1 0.386 0.386 0.386
B2 0.614 0.614 0.614
P1 0.212 0.212 0.212
P2 0.788 0.788 0.788
O1 0.101 0.642 0.658
O2 0.182 0.655 0.317
O3 0.254 0.254 0.254
O4 0.317 0.182 0.655
O5 0.342 0.899 0.358
O6 0.345 0.683 0.818
O7 0.358 0.342 0.899
O8 0.642 0.658 0.101
O9 0.655 0.317 0.182
O10 0.658 0.101 0.642
O11 0.683 0.818 0.345
O12 0.746 0.746 0.746
O13 0.818 0.345 0.683
O14 0.899 0.358 0.342



Entry 5:
First-principles (PBE-GGA) data for crystalline Na3LaMgP2SO12 at its relaxed geometry, as listed in the Materials Project.

Properties
Final energy   -6.569 eV/atom
Calculated density   2.90 g cm⁻³
E (MP2020)   -6.9807 eV per atom
ΔH_f (0 K)   -54.8 eV/f.u.

Lattice parameters (Å, degrees): 9.409 9.361 23.375 88.58 90.00 120.17
Positions (direct):
Na1 0.020 0.682 0.578
O1 0.645 0.121 0.130
O2 0.456 0.328 0.029
P1 0.307 0.019 0.251
Na2 0.687 0.016 0.912
O3 0.122 0.661 0.363
O4 0.222 0.198 0.811
O5 0.506 0.659 0.583
Na3 0.329 0.016 0.412
La1 0.670 0.353 0.485
O6 0.149 0.478 0.256
O7 0.483 0.145 0.923
O8 0.643 0.532 0.644
O9 0.542 0.889 0.370
O10 0.312 0.455 0.464
Na4 0.627 0.626 0.744
O11 0.870 0.529 0.421
O12 0.485 0.364 0.137
O13 0.996 0.812 0.090
Mg1 0.339 0.659 0.515
La2 0.682 0.353 0.985
La3 0.337 0.686 0.818
Mg2 0.006 0.992 0.848
Na5 0.672 0.312 0.323
Na6 0.666 0.960 0.577
O14 0.101 0.441 0.861
O15 0.142 0.455 0.964
P2 0.640 0.685 0.918
O16 0.703 0.180 0.745
O17 0.888 0.532 0.144
Na7 0.996 0.349 0.745
S1 0.314 0.353 0.417
O18 0.348 0.889 0.870
O19 0.212 0.031 0.303
O20 0.155 0.193 0.417
O21 0.340 0.441 0.361
O22 0.369 0.513 0.078
O23 0.487 0.326 0.749
O24 0.371 0.860 0.584
O25 0.545 0.697 0.970
O26 0.555 0.865 0.477
O27 0.872 0.328 0.529
Mg3 0.986 0.992 0.348
O28 0.531 0.647 0.255
O29 0.816 0.812 0.590
O30 0.153 0.659 0.083
O31 0.819 0.031 0.803
O32 0.659 0.529 0.921
P3 0.323 0.968 0.923
O33 0.977 0.198 0.311
O34 0.476 0.121 0.630
Na8 0.960 0.293 0.410
S2 0.706 0.687 0.250
Na9 0.662 0.682 0.078
La4 0.015 0.019 0.652
P4 0.045 0.685 0.418
O35 0.539 0.661 0.863
P5 0.979 0.635 0.090
S3 0.039 0.353 0.917
O36 0.206 0.995 0.196
O37 0.204 0.196 0.087
Na10 0.999 0.626 0.244
O38 0.208 0.222 0.703
O39 0.325 0.862 0.254
P6 0.312 0.302 0.756
O40 0.115 0.647 0.755
Mg4 0.653 0.326 0.681
O41 0.006 0.774 0.694
O42 0.038 0.193 0.917
O43 0.789 0.995 0.696
O44 0.434 0.108 0.528
P7 0.990 0.302 0.256
O45 0.014 0.222 0.203
La5 0.004 0.019 0.152
La6 0.349 0.686 0.318
O46 0.152 0.697 0.470
Na11 0.639 0.312 0.823
O47 0.839 0.326 0.249
O48 0.811 0.847 0.912
O49 0.036 0.847 0.412
Na12 0.973 0.978 0.490
Na13 0.333 0.293 0.910
S4 0.647 0.020 0.083
O50 0.329 0.478 0.756
O51 0.662 0.145 0.423
Na14 0.006 0.978 0.990
P8 0.656 0.635 0.590
P9 0.378 0.352 0.084
O52 0.879 0.364 0.637
Na15 0.353 0.349 0.245
O53 0.705 0.526 0.250
O54 0.172 0.992 0.916
O55 0.198 0.980 0.589
Na16 0.339 0.645 0.656
O56 0.865 0.313 0.922
O57 0.875 0.556 0.036
P10 0.974 0.352 0.584
O58 0.537 0.862 0.754
O59 0.782 0.980 0.089
O60 0.768 0.774 0.194
O61 0.820 0.992 0.416
O62 0.681 0.556 0.536
S5 0.373 0.020 0.583
P11 0.645 0.968 0.423
O63 0.449 0.313 0.422
O64 0.822 0.526 0.750
Na17 0.306 0.645 0.156
O65 0.809 0.788 0.297
O66 0.489 0.860 0.084
S6 0.981 0.687 0.750
O67 0.144 0.513 0.578
O68 0.477 0.180 0.245
O69 0.979 0.788 0.797
O70 0.992 0.196 0.587
O71 0.310 0.865 0.977
Na18 0.294 0.960 0.077
O72 0.673 0.108 0.028
P12 0.711 0.019 0.751
Mg5 0.320 0.659 0.015
Mg6 0.673 0.326 0.181



Entry 6:
First-principles (PBE-GGA) data for crystalline SiO2 at its relaxed geometry, as listed in the Materials Project.

Properties
Final energy   -7.130 eV/atom
Calculated density   2.39 g cm⁻³
E (MP2020)   -7.5883 eV per atom
ΔH_f (0 K)   -7.4 eV/f.u.

Lattice parameters (Å, degrees): 8.748 9.840 3.879 90.00 90.00 90.00
Positions (direct):
Si1 0.076 0.142 0.154
Si2 0.076 0.358 0.846
Si3 0.424 0.142 0.846
Si4 0.424 0.358 0.154
Si5 0.576 0.642 0.846
Si6 0.576 0.858 0.154
Si7 0.924 0.642 0.154
Si8 0.924 0.858 0.846
O1 0.000 0.000 0.000
O2 0.000 0.500 0.000
O3 0.050 0.750 0.000
O4 0.106 0.250 0.500
O5 0.250 0.114 0.000
O6 0.250 0.386 0.000
O7 0.394 0.250 0.500
O8 0.450 0.750 0.000
O9 0.500 0.000 0.000
O10 0.500 0.500 0.000
O11 0.550 0.250 0.000
O12 0.606 0.750 0.500
O13 0.750 0.614 0.000
O14 0.750 0.886 0.000
O15 0.894 0.750 0.500
O16 0.950 0.250 0.000